Entry a
## LiZr2P3O12 (PBE)

Data for crystalline LiZr2P3O12 at its relaxed geometry.

a b c (Å): 8.8365 8.8900 9.1607
angles (deg): 91.17 118.79 118.85
Closest atoms and distances in Å follow each position.
Atoms (fractional coordinates):
Li 0.1518 0.1825 0.4269  4 O 2.06-2.28
Li 0.8482 0.8175 0.5731  4 O 2.06-2.28
Zr 0.2860 0.6423 0.4234  6 O 2.07-2.17
Zr 0.2963 0.1431 0.9315  6 O 2.07-2.17
Zr 0.7037 0.8569 0.0685  6 O 2.07-2.17
Zr 0.7140 0.3577 0.5766  6 O 2.07-2.17
P 0.2122 0.7472 0.7539  4 O 1.54-1.56
P 0.2211 0.9792 0.2569  4 O 1.54-1.56
P 0.4849 0.4540 0.7411  4 O 1.54-1.56
P 0.5151 0.5460 0.2589  4 O 1.54-1.56
P 0.7789 0.0208 0.7431  4 O 1.54-1.56
P 0.7878 0.2528 0.2461  4 O 1.54-1.56
O 0.0094 0.9187 0.2274  1 P 1.55
O 0.0288 0.5622 0.7234  1 P 1.54
O 0.1505 0.8865 0.7437  1 P 1.56
O 0.2180 0.0018 0.0897  1 P 1.54
O 0.2556 0.7346 0.6120  1 P 1.54
O 0.2717 0.8382 0.3108  1 P 1.54
O 0.3347 0.4573 0.5607  1 P 1.56
O 0.3369 0.5384 0.2578  1 P 1.54
O 0.3453 0.2679 0.7505  1 P 1.55
O 0.3788 0.1661 0.4077  1 P 1.56
O 0.4093 0.8098 0.9370  1 P 1.54
O 0.4205 0.3867 0.1030  1 P 1.54
O 0.5795 0.6133 0.8970  1 P 1.54
O 0.5907 0.1902 0.0630  1 P 1.54
O 0.6212 0.8339 0.5923  1 P 1.56
O 0.6547 0.7321 0.2495  1 P 1.55
O 0.6631 0.4616 0.7422  1 P 1.54
O 0.6653 0.5427 0.4393  1 P 1.56
O 0.7283 0.1618 0.6892  1 P 1.54
O 0.7444 0.2654 0.3880  1 P 1.54
O 0.7820 0.9982 0.9103  1 P 1.54
O 0.8495 0.1135 0.2563  1 P 1.56
O 0.9712 0.4378 0.2766  1 P 1.54
O 0.9906 0.0813 0.7726  1 P 1.55

SG   P-1 (2)

---

Entry b
## LiZr2P3O12 (PBE)

Data for crystalline LiZr2P3O12 at its relaxed geometry.

a b c (Å): 8.8414 8.9248 9.2002
angles (deg): 61.02 61.39 60.95
Closest atoms and distances in Å follow each position.
Atoms (fractional coordinates):
Li 0.0000 0.0000 0.0000  1 O 1.99
Li 0.2641 0.8283 0.7743  2 O 2.05-2.25
Zr 0.0404 0.3696 0.8221  6 O 2.05-2.21
Zr 0.2666 0.5608 0.1971  6 O 2.04-2.23
Zr 0.5378 0.8534 0.3273  6 O 2.08-2.16
Zr 0.7575 0.0718 0.6845  6 O 2.05-2.22
P 0.1513 0.1628 0.5271  4 O 1.54-1.56
P 0.3547 0.9647 0.0099  4 O 1.54-1.58
P 0.4481 0.4612 0.4986  4 O 1.54-1.55
P 0.6433 0.2562 0.9976  4 O 1.53-1.57
P 0.8677 0.7395 0.5085  4 O 1.54-1.55
P 0.9379 0.6941 0.0021  4 O 1.53-1.56
O 0.0336 0.7216 0.3408  1 P 1.55
O 0.1200 0.6329 0.0330  1 P 1.55
O 0.1215 0.1622 0.7085  1 P 1.56
O 0.1976 0.1486 0.9799  1 P 1.55
O 0.2082 0.3255 0.3764  1 P 1.54
O 0.2640 0.4463 0.6422  1 P 1.55
O 0.2941 0.8282 0.0042  1 P 1.58
O 0.3057 0.9784 0.5133  1 P 1.56
O 0.3726 0.9064 0.1894  1 P 1.54
O 0.4361 0.5140 0.3171  1 P 1.54
O 0.4893 0.4329 0.0225  1 P 1.54
O 0.4892 0.6085 0.5010  1 P 1.54
O 0.5381 0.9732 0.8645  1 P 1.54
O 0.5992 0.2757 0.5315  1 P 1.54
O 0.5995 0.0903 0.1559  1 P 1.55
O 0.6685 0.2415 0.8274  1 P 1.53
O 0.6913 0.8031 0.4699  1 P 1.54
O 0.7736 0.7131 0.1669  1 P 1.53
O 0.8265 0.2504 0.9905  1 P 1.57
O 0.8594 0.8794 0.5672  1 P 1.54
O 0.8881 0.5528 0.6552  1 P 1.55
O 0.9304 0.8835 0.8568  1 P 1.56
O 0.9477 0.5554 0.9419  1 P 1.54
O 0.9790 0.1661 0.5210  1 P 1.54

SG   P1 (1)

---

Entry c
## LiZr2P3O12 (PBE)

Data for crystalline LiZr2P3O12 at its relaxed geometry.

a b c (Å): 8.9794 8.9794 9.1946
angles (deg): 119.10 119.10 60.40
Closest atoms and distances in Å follow each position.
Atoms (fractional coordinates):
Li 0.2422 0.2422 0.2792  3 O 2.16-2.35
Li 0.7578 0.7578 0.7208  3 O 2.16-2.35
Zr 0.2589 0.5300 0.6816  6 O 2.07-2.15
Zr 0.4700 0.7411 0.3184  6 O 2.07-2.15
Zr 0.7573 0.0296 0.1793  6 O 2.07-2.15
Zr 0.9704 0.2427 0.8207  6 O 2.07-2.15
P 0.0746 0.6342 0.9981  4 O 1.53-1.56
P 0.1535 0.1334 0.4983  4 O 1.53-1.56
P 0.3658 0.9254 0.0019  4 O 1.53-1.56
P 0.5769 0.4231 0.5000  4 O 1.54-1.55
P 0.6516 0.3484 0.0000  4 O 1.54-1.55
P 0.8666 0.8465 0.5017  4 O 1.53-1.56
O 0.0332 0.6749 0.5214  1 P 1.54
O 0.0524 0.4681 0.9828  1 P 1.53
O 0.0983 0.6025 0.8272  1 P 1.56
O 0.1202 0.1738 0.6644  1 P 1.53
O 0.1823 0.2942 0.5035  1 P 1.56
O 0.2021 0.1050 0.9972  1 P 1.56
O 0.2365 0.6719 0.1610  1 P 1.53
O 0.3251 0.9668 0.4786  1 P 1.54
O 0.3281 0.7635 0.8390  1 P 1.53
O 0.3975 0.9017 0.1728  1 P 1.56
O 0.3994 0.4409 0.5074  1 P 1.55
O 0.4860 0.3829 0.8363  1 P 1.55
O 0.5319 0.9476 0.0172  1 P 1.53
O 0.5591 0.6006 0.4926  1 P 1.55
O 0.6073 0.2613 0.3339  1 P 1.54
O 0.6171 0.5140 0.1637  1 P 1.55
O 0.6774 0.1755 0.0191  1 P 1.54
O 0.7058 0.8177 0.4965  1 P 1.56
O 0.7387 0.3927 0.6661  1 P 1.54
O 0.8245 0.3226 0.9809  1 P 1.54
O 0.8262 0.8798 0.3356  1 P 1.53
O 0.8950 0.7979 0.0028  1 P 1.56
O 0.8998 0.0115 0.6656  1 P 1.54
O 0.9885 0.1002 0.3344  1 P 1.54

SG   C2 (5)

---

The structure with the greatest stability is entry a.

---

Entry a
## LiRuPbO3 (PBE)

Data for crystalline LiRuPbO3 at its relaxed geometry.

a b c (Å): 3.8732 3.8732 5.4208
angles (deg): 90.00 90.00 90.00
Closest atoms and distances in Å follow each position.
Atoms (fractional coordinates):
Li 0.0000 0.0000 0.0000  4 O 1.94
Ru 0.5000 0.5000 0.0000  4 O 1.94
Pb 0.0000 0.0000 0.5000  2 Li 2.71, 4 O 2.74
O 0.0000 0.5000 0.0000  2 Ru 1.94, 2 Li 1.94
O 0.5000 0.0000 0.0000  2 Ru 1.94, 2 Li 1.94
O 0.5000 0.5000 0.5000  2 Ru 2.71, 4 Pb 2.74

SG   P4/mmm (123)

---

Entry b
## LiRuPbO3 (PBE)

Data for crystalline LiRuPbO3 at its relaxed geometry.

a b c (Å): 4.2408 4.2408 4.2484
angles (deg): 96.41 96.41 83.56
Closest atoms and distances in Å follow each position.
Atoms (fractional coordinates):
Li 0.0000 0.0000 0.0000  3 O 1.94
Ru 0.2940 0.2940 0.7039  6 O 2.11-2.13
Pb 0.6715 0.6715 0.3274  3 O 2.36-2.37
O 0.2955 0.2955 0.2055  1 Li 1.94, 2 Ru 2.12-2.13
O 0.2948 0.7924 0.7062  1 Li 1.94, 2 Ru 2.11-2.13
O 0.7924 0.2948 0.7062  1 Li 1.94, 2 Ru 2.11-2.13

SG   Cm (8)

---

The structure with the greatest stability is entry b.

---

Entry a
## RbLiSO4 (PBE)

Data for crystalline RbLiSO4 at its relaxed geometry.

a b c (Å): 5.3673 8.8941 10.7118
angles (deg): 90.00 120.08 90.00
Closest atoms and distances in Å follow each position.
Atoms (fractional coordinates):
Rb 0.0093 0.0044 0.2756  7 O 2.92-3.24
Rb 0.0093 0.4956 0.7756  7 O 2.92-3.24
Rb 0.9907 0.5044 0.2244  7 O 2.92-3.24
Rb 0.9907 0.9956 0.7244  7 O 2.92-3.24
Li 0.3333 0.6786 0.5903  4 O 1.95-1.99
Li 0.3333 0.8214 0.0903  4 O 1.95-1.99
Li 0.6667 0.1786 0.9097  4 O 1.95-1.99
Li 0.6667 0.3214 0.4097  4 O 1.95-1.99
S 0.3316 0.2064 0.0773  4 O 1.49-1.50
S 0.3316 0.2936 0.5773  4 O 1.49-1.50
S 0.6684 0.7064 0.4227  4 O 1.49-1.50
S 0.6684 0.7936 0.9227  4 O 1.49-1.50
O 0.0471 0.2347 0.5494  1 S 1.50
O 0.0471 0.2653 0.0494  1 S 1.50
O 0.3391 0.0404 0.0937  1 S 1.49
O 0.3391 0.4596 0.5937  1 S 1.49
O 0.3713 0.2476 0.9529  1 S 1.50
O 0.3713 0.2524 0.4529  1 S 1.50
O 0.4314 0.7255 0.7884  1 S 1.49
O 0.4314 0.7745 0.2884  1 S 1.49
O 0.5686 0.2255 0.7116  1 S 1.49
O 0.5686 0.2745 0.2116  1 S 1.49
O 0.6287 0.7476 0.5471  1 S 1.50
O 0.6287 0.7524 0.0471  1 S 1.50
O 0.6609 0.5404 0.4063  1 S 1.49
O 0.6609 0.9596 0.9063  1 S 1.49
O 0.9529 0.7347 0.9506  1 S 1.50
O 0.9529 0.7653 0.4506  1 S 1.50

SG   P2_1/c (14)

---

Entry b
## RbLiSO4 (PBE)

Data for crystalline RbLiSO4 at its relaxed geometry.

a b c (Å): 5.3240 9.5627 44.5918
angles (deg): 90.00 96.75 90.00
Closest atoms and distances in Å follow each position.
Atoms (fractional coordinates):
Rb 0.0000 0.2412 0.0000  9 O 3.00-3.30, 1 Li 3.33
Rb 0.0000 0.7588 0.5000  9 O 3.00-3.30, 1 Li 3.33
Rb 0.1036 0.2571 0.1008  9 O 3.04-3.24
Rb 0.1036 0.7429 0.6008  9 O 3.04-3.24
Rb 0.2429 0.2468 0.2007  8 O 3.00-3.32
Rb 0.2429 0.7532 0.7007  8 O 3.00-3.32
Rb 0.3006 0.2575 0.3000  9 O 3.01-3.30, 1 Li 3.32
Rb 0.3006 0.7425 0.8000  9 O 3.01-3.30, 1 Li 3.32
Rb 0.4044 0.2437 0.4011  10 O 3.04-3.35
Rb 0.4044 0.7563 0.9011  10 O 3.04-3.35
Rb 0.5481 0.2574 0.5011  8 O 3.02-3.29, 1 Li 3.33
Rb 0.5481 0.7426 0.0011  8 O 3.02-3.29, 1 Li 3.33
Rb 0.6476 0.2436 0.6005  9 O 3.02-3.29
Rb 0.6476 0.7564 0.1005  9 O 3.02-3.29
Rb 0.7083 0.2557 0.7010  8 O 3.00-3.24
Rb 0.7083 0.7443 0.2010  8 O 3.00-3.24
Rb 0.8518 0.2417 0.8009  9 O 3.01-3.34, 1 Li 3.34
Rb 0.8518 0.7583 0.3009  9 O 3.01-3.34, 1 Li 3.34
Rb 0.9477 0.2541 0.9002  9 O 2.99-3.30
Rb 0.9477 0.7459 0.4002  9 O 2.99-3.30
Li 0.0377 0.0840 0.5367  4 O 1.94-1.97
Li 0.0377 0.9160 0.0367  4 O 1.94-1.97
Li 0.1972 0.4118 0.6366  4 O 1.94-1.96
Li 0.1972 0.5882 0.1366  4 O 1.94-1.96
Li 0.2250 0.0847 0.7367  4 O 1.94-1.97
Li 0.2250 0.9153 0.2367  4 O 1.94-1.97
Li 0.3389 0.4175 0.8368  4 O 1.94-1.96
Li 0.3389 0.5825 0.3368  4 O 1.94-1.96
Li 0.5018 0.0863 0.9368  4 O 1.94-1.96
Li 0.5018 0.9137 0.4368  4 O 1.94-1.96
Li 0.5874 0.4147 0.0367  4 O 1.94-1.98
Li 0.5874 0.5853 0.5367  4 O 1.94-1.98
Li 0.6246 0.0859 0.1371  4 O 1.93-1.97
Li 0.6246 0.9141 0.6371  4 O 1.93-1.97
Li 0.7964 0.4146 0.2367  4 O 1.94-1.96
Li 0.7964 0.5854 0.7367  4 O 1.94-1.96
Li 0.8901 0.0859 0.3369  4 O 1.94-1.97
Li 0.8901 0.9141 0.8369  4 O 1.94-1.97
Li 0.9252 0.4170 0.4368  4 O 1.95-1.96
Li 0.9252 0.5830 0.9368  4 O 1.95-1.96
S 0.0223 0.0824 0.4592  4 O 1.49
S 0.0223 0.9176 0.9592  4 O 1.49
S 0.1144 0.4187 0.5589  4 O 1.49
S 0.1144 0.5813 0.0589  4 O 1.49
S 0.1530 0.0804 0.6591  4 O 1.49
S 0.1530 0.9196 0.1591  4 O 1.49
S 0.3186 0.4180 0.7593  4 O 1.49
S 0.3186 0.5820 0.2593  4 O 1.49
S 0.4172 0.0814 0.8592  4 O 1.49
S 0.4172 0.9186 0.3592  4 O 1.49
S 0.4525 0.4171 0.9593  4 O 1.49
S 0.4525 0.5829 0.4593  4 O 1.49
S 0.5566 0.0824 0.0593  4 O 1.49
S 0.5566 0.9176 0.5593  4 O 1.49
S 0.7158 0.4210 0.1591  4 O 1.49
S 0.7158 0.5790 0.6591  4 O 1.49
S 0.7510 0.0825 0.2593  4 O 1.49
S 0.7510 0.9175 0.7593  4 O 1.49
S 0.8574 0.4179 0.3592  4 O 1.49
S 0.8574 0.5821 0.8592  4 O 1.49
O 0.0017 0.4647 0.8474  1 S 1.49
O 0.0017 0.5353 0.3474  1 S 1.49
O 0.0174 0.2816 0.5469  1 S 1.49
O 0.0174 0.7184 0.0469  1 S 1.49
O 0.0254 0.0977 0.4925  1 S 1.49
O 0.0254 0.9023 0.9925  1 S 1.49
O 0.1183 0.4193 0.5925  1 S 1.49
O 0.1183 0.5807 0.0925  1 S 1.49
O 0.1507 0.4633 0.2484  1 S 1.49
O 0.1507 0.5367 0.7484  1 S 1.49
O 0.1773 0.4401 0.9498  1 S 1.49
O 0.1773 0.5599 0.4498  1 S 1.49
O 0.2053 0.0976 0.6925  1 S 1.49
O 0.2053 0.9024 0.1925  1 S 1.49
O 0.2179 0.2847 0.7456  1 S 1.49
O 0.2179 0.7153 0.2456  1 S 1.49
O 0.2283 0.2097 0.6439  1 S 1.49
O 0.2283 0.7903 0.1439  1 S 1.49
O 0.2489 0.0330 0.3461  1 S 1.49
O 0.2489 0.9670 0.8461  1 S 1.49
O 0.2817 0.0612 0.0494  1 S 1.49
O 0.2817 0.9388 0.5494  1 S 1.49
O 0.2852 0.0534 0.4523  1 S 1.49
O 0.2852 0.9466 0.9523  1 S 1.49
O 0.2985 0.0418 0.1496  1 S 1.49
O 0.2985 0.9582 0.6496  1 S 1.49
O 0.3232 0.2188 0.8468  1 S 1.49
O 0.3232 0.7812 0.3468  1 S 1.49
O 0.3329 0.4083 0.7928  1 S 1.49
O 0.3329 0.5917 0.2928  1 S 1.49
O 0.3774 0.4401 0.5513  1 S 1.49
O 0.3774 0.5599 0.0513  1 S 1.49
O 0.4195 0.0822 0.8927  1 S 1.49
O 0.4195 0.9178 0.3927  1 S 1.49
O 0.4759 0.0581 0.2499  1 S 1.49
O 0.4759 0.9419 0.7499  1 S 1.49
O 0.4939 0.4013 0.9928  1 S 1.49
O 0.4939 0.5987 0.4928  1 S 1.49
O 0.5367 0.2877 0.9449  1 S 1.49
O 0.5367 0.7123 0.4449  1 S 1.49
O 0.5493 0.4597 0.6485  1 S 1.49
O 0.5493 0.5403 0.1485  1 S 1.49
O 0.5781 0.4431 0.7508  1 S 1.49
O 0.5781 0.5569 0.2508  1 S 1.49
O 0.5814 0.4363 0.3495  1 S 1.49
O 0.5814 0.5637 0.8495  1 S 1.49
O 0.5994 0.0840 0.0929  1 S 1.49
O 0.5989 0.4602 0.4502  1 S 1.49
O 0.5989 0.5398 0.9502  1 S 1.49
O 0.5994 0.9160 0.5929  1 S 1.49
O 0.6191 0.2888 0.1444  1 S 1.49
O 0.6191 0.7112 0.6444  1 S 1.49
O 0.6396 0.2182 0.0475  1 S 1.49
O 0.6396 0.7818 0.5475  1 S 1.49
O 0.6800 0.0581 0.8517  1 S 1.49
O 0.6800 0.9419 0.3517  1 S 1.49
O 0.7047 0.0342 0.5479  1 S 1.49
O 0.7047 0.9658 0.0479  1 S 1.49
O 0.7224 0.4075 0.1925  1 S 1.49
O 0.7224 0.5925 0.6925  1 S 1.49
O 0.7947 0.0946 0.2928  1 S 1.49
O 0.7947 0.9054 0.7928  1 S 1.49
O 0.8307 0.2143 0.2454  1 S 1.49
O 0.8307 0.7857 0.7454  1 S 1.49
O 0.8545 0.0362 0.9484  1 S 1.49
O 0.8545 0.9638 0.4484  1 S 1.49
O 0.8768 0.0548 0.6509  1 S 1.49
O 0.8768 0.9452 0.1509  1 S 1.49
O 0.8992 0.0377 0.7494  1 S 1.49
O 0.8992 0.9623 0.2494  1 S 1.49
O 0.9017 0.4180 0.3928  1 S 1.49
O 0.9017 0.5820 0.8928  1 S 1.49
O 0.9304 0.2145 0.4440  1 S 1.49
O 0.9304 0.7855 0.9440  1 S 1.49
O 0.9438 0.2823 0.3476  1 S 1.49
O 0.9438 0.7177 0.8476  1 S 1.49
O 0.9481 0.4663 0.0458  1 S 1.49
O 0.9481 0.5337 0.5458  1 S 1.49
O 0.9776 0.4481 0.1516  1 S 1.49
O 0.9776 0.5519 0.6516  1 S 1.49

SG   Pc (7)

---

The structure with the greatest stability is entry a.

---

Entry a
## Rb2LiTc2O8 (PBE)

Data for crystalline Rb2LiTc2O8 at its relaxed geometry.

a b c (Å): 5.7009 6.3947 7.8670
angles (deg): 113.37 110.54 91.46
Closest atoms and distances in Å follow each position.
Atoms (fractional coordinates):
Rb 0.0000 0.0000 0.0000  8 O 3.00-3.17
Rb 0.2505 0.7491 0.5021  8 O 2.89-3.07, 1 Li 3.23
Li 0.2868 0.2871 0.5823  4 O 2.05-2.25
Tc 0.5034 0.5028 0.0066  4 O 1.74-1.77
Tc 0.7603 0.2614 0.5226  4 O 1.77-1.79
O 0.3113 0.6161 0.8457  1 Tc 1.77
O 0.3539 0.4664 0.1547  1 Tc 1.74
O 0.4447 0.0882 0.3908  1 Tc 1.79
O 0.5341 0.2284 0.8455  1 Tc 1.77
O 0.7061 0.5370 0.6625  1 Tc 1.77
O 0.8005 0.6870 0.1542  1 Tc 1.74
O 0.9419 0.3011 0.3883  1 Tc 1.79
O 0.9580 0.1266 0.6617  1 Tc 1.77

SG   P1 (1)

---

Entry b
## Rb2LiTc2O8 (PBE)

Data for crystalline Rb2LiTc2O8 at its relaxed geometry.

a b c (Å): 5.7026 6.3038 7.9331
angles (deg): 109.16 107.75 98.03
Closest atoms and distances in Å follow each position.
Atoms (fractional coordinates):
Rb 0.0000 0.0000 0.0000  4 O 2.88-3.20
Rb 0.2800 0.8842 0.5565  6 O 2.89-3.16, 1 Li 3.14
Li 0.4054 0.4025 0.4142  4 O 1.89-2.07
Tc 0.5310 0.5489 0.0619  4 O 1.75-1.77
Tc 0.8469 0.3013 0.5356  4 O 1.76-1.79
O 0.0833 0.3431 0.4360  1 Tc 1.79, 1 Li 1.89
O 0.3628 0.5199 0.2106  1 Tc 1.77, 1 Li 1.95
O 0.3777 0.6734 0.9069  1 Tc 1.75
O 0.5375 0.1244 0.3614  1 Tc 1.79, 1 Li 1.97
O 0.5504 0.2721 0.9327  1 Tc 1.75
O 0.7673 0.5712 0.6215  1 Tc 1.79
O 0.8413 0.7274 0.2013  1 Tc 1.75
O 0.9421 0.1601 0.6930  1 Tc 1.76

SG   P1 (1)

---

The structure with the greatest stability is entry b.

---

Entry a
## LiSm2SO2 (PBE)

Data for crystalline LiSm2SO2 at its relaxed geometry.

a b c (Å): 3.6588 3.6588 8.4713
angles (deg): 90.00 90.00 120.00
Closest atoms and distances in Å follow each position.
Atoms (fractional coordinates):
Li 0.0000 0.0000 0.0000  6 O 2.47
Sm 0.3333 0.6667 0.7143  3 O 2.40
Sm 0.6667 0.3333 0.2857  3 O 2.40
S 0.0000 0.0000 0.5000  6 Sm 2.79
O 0.3333 0.6667 0.1502  3 Sm 2.40, 3 Li 2.47
O 0.6667 0.3333 0.8498  3 Sm 2.40, 3 Li 2.47

SG   P-3m1 (164)

---

Entry b
## LiSm2SO2 (PBE)

Data for crystalline LiSm2SO2 at its relaxed geometry.

a b c (Å): 4.0067 4.0067 7.3391
angles (deg): 90.00 90.00 120.00
Closest atoms and distances in Å follow each position.
Atoms (fractional coordinates):
Li 0.0000 0.0000 0.0000  1 O 1.94
Sm 0.0000 0.0000 0.4037  4 O 2.33-2.44
Sm 0.3333 0.6667 0.7580  4 O 2.32
S 0.6667 0.3333 0.0793  3 Li 2.39
O 0.0000 0.0000 0.7356  1 Li 1.94
O 0.3333 0.6667 0.4425  4 Sm 2.32-2.33

SG   P3m1 (156)

---

The structure with the greatest stability is entry b.